DFT (PBE with a Hubbard U) results for a relaxed structure of KP2W7O25.

Output
Final energy (eV per cell): -258.70
Total moment (μB/f.u.): 3.000
E_form (eV per atom): -2.30

Cell: 14.084 14.084 6.817 Å, 96.65 96.65 22.38°
Element x y z (fractional)
K  0.000  0.000  0.000
P  0.543  0.543  0.832
P  0.956  0.956  0.440
W  0.080  0.080  0.549
W  0.192  0.192  0.942
W  0.303  0.303  0.337
W  0.418  0.418  0.725
W  0.635  0.635  0.247
W  0.748  0.748  0.642
W  0.861  0.861  0.037
O  0.011  0.011  0.399
O  0.029  0.529  0.477
O  0.092  0.586  0.184
O  0.135  0.135  0.731
O  0.150  0.649  0.887
O  0.178  0.715  0.558
O  0.250  0.250  0.137
O  0.314  0.788  0.722
O  0.352  0.850  0.374
O  0.364  0.364  0.542
O  0.411  0.911  0.084
O  0.464  0.978  0.794
O  0.487  0.487  0.871
O  0.529  0.029  0.477
O  0.572  0.572  0.038
O  0.586  0.092  0.184
O  0.649  0.150  0.887
O  0.688  0.688  0.434
O  0.715  0.178  0.558
O  0.788  0.314  0.722
O  0.811  0.811  0.840
O  0.850  0.352  0.374
O  0.911  0.411  0.084
O  0.926  0.926  0.235
O  0.978  0.464  0.794


DFT (PBE with a Hubbard U) results for a relaxed structure of Li9Mn2Co5O16.

Output
Final energy (eV per cell): -185.92
Total moment (μB/f.u.): 10.905
E_form (eV per atom): -1.82

Cell: 5.908 6.492 7.826 Å, 87.78 77.21 76.38°
Element x y z (fractional)
Li  0.000  0.000  0.000
Li  0.120  0.879  0.628
Li  0.121  0.370  0.120
Li  0.366  0.630  0.881
Li  0.373  0.123  0.374
Li  0.627  0.877  0.626
Li  0.634  0.370  0.119
Li  0.879  0.630  0.880
Li  0.880  0.121  0.372
Mn  0.500  0.000  0.000
Mn  0.500  0.500  0.500
Co  0.000  0.500  0.500
Co  0.237  0.757  0.242
Co  0.253  0.252  0.752
Co  0.747  0.748  0.248
Co  0.763  0.243  0.758
O  0.049  0.687  0.086
O  0.055  0.207  0.560
O  0.207  0.050  0.184
O  0.209  0.550  0.683
O  0.311  0.455  0.337
O  0.322  0.962  0.823
O  0.449  0.297  0.945
O  0.450  0.793  0.427
O  0.550  0.207  0.573
O  0.551  0.703  0.055
O  0.678  0.038  0.177
O  0.689  0.545  0.663
O  0.791  0.450  0.317
O  0.793  0.950  0.816
O  0.945  0.793  0.440
O  0.951  0.313  0.914


DFT (PBE with a Hubbard U) results for a relaxed structure of FeH14C4NOF4.

Output
Final energy (eV per cell): -260.03
Total moment (μB/f.u.): 4.999
E_form (eV per atom): -0.84

Cell: 7.031 8.335 9.211 Å, 65.45 83.01 72.48°
Element x y z (fractional)
Fe  0.177  0.006  0.375
Fe  0.823  0.994  0.625
H  0.064  0.471  0.227
H  0.064  0.677  0.052
H  0.112  0.664  0.244
H  0.143  0.061  0.802
H  0.168  0.331  0.564
H  0.204  0.527  0.583
H  0.212  0.041  0.992
H  0.234  0.812  0.673
H  0.268  0.293  0.021
H  0.269  0.501  0.849
H  0.396  0.043  0.837
H  0.408  0.323  0.620
H  0.454  0.838  0.620
H  0.466  0.293  0.877
H  0.534  0.707  0.123
H  0.546  0.162  0.380
H  0.592  0.677  0.380
H  0.604  0.957  0.163
H  0.731  0.499  0.151
H  0.732  0.707  0.979
H  0.766  0.188  0.327
H  0.788  0.959  0.008
H  0.796  0.473  0.417
H  0.832  0.669  0.436
H  0.857  0.939  0.198
H  0.888  0.336  0.756
H  0.936  0.323  0.948
H  0.936  0.529  0.773
C  0.029  0.621  0.180
C  0.239  0.096  0.863
C  0.246  0.377  0.628
C  0.307  0.351  0.895
C  0.693  0.649  0.105
C  0.754  0.623  0.372
C  0.761  0.904  0.137
C  0.971  0.379  0.820
N  0.190  0.301  0.801
N  0.810  0.699  0.199
O  0.335  0.819  0.586
O  0.665  0.181  0.414
F  0.025  0.138  0.519
F  0.027  0.819  0.784
F  0.293  0.861  0.259
F  0.359  0.153  0.310
F  0.641  0.847  0.690
F  0.707  0.139  0.741
F  0.973  0.181  0.216
F  0.975  0.862  0.481


DFT (PBE with a Hubbard U) results for a relaxed structure of VF5.

Output
Final energy (eV per cell): -62.25
Total moment (μB/f.u.): 0.001
E_form (eV per atom): -2.75

Cell: 5.769 5.769 7.344 Å, 109.06 109.06 53.39°
Element x y z (fractional)
V  0.005  0.995  0.500
V  0.995  0.005  0.000
F  0.131  0.869  0.248
F  0.195  0.628  0.529
F  0.329  0.992  0.619
F  0.364  0.820  0.976
F  0.628  0.195  0.029
F  0.687  0.991  0.374
F  0.820  0.364  0.476
F  0.869  0.131  0.748
F  0.991  0.687  0.874
F  0.992  0.329  0.119


DFT (PBE with a Hubbard U) results for a relaxed structure of CoP2O7.

Output
Final energy (eV per cell): -265.91
Total moment (μB/f.u.): 1.000
E_form (eV per atom): -2.04

Cell: 8.764 5.174 13.386 Å, 90.00 116.29 90.00°
Element x y z (fractional)
Co  0.226  0.249  0.465
Co  0.226  0.251  0.965
Co  0.774  0.749  0.035
Co  0.774  0.751  0.535
P  0.188  0.734  0.616
P  0.188  0.766  0.116
P  0.338  0.739  0.862
P  0.338  0.761  0.362
P  0.662  0.239  0.638
P  0.662  0.261  0.138
P  0.812  0.234  0.884
P  0.812  0.266  0.384
O  0.017  0.728  0.121
O  0.017  0.772  0.621
O  0.208  0.043  0.085
O  0.208  0.457  0.585
O  0.223  0.567  0.046
O  0.223  0.933  0.546
O  0.230  0.547  0.379
O  0.230  0.953  0.879
O  0.261  0.029  0.356
O  0.261  0.471  0.856
O  0.333  0.714  0.242
O  0.333  0.786  0.742
O  0.477  0.239  0.054
O  0.477  0.261  0.554
O  0.523  0.739  0.446
O  0.523  0.761  0.946
O  0.667  0.214  0.258
O  0.667  0.286  0.758
O  0.739  0.529  0.144
O  0.739  0.971  0.644
O  0.770  0.047  0.121
O  0.770  0.453  0.621
O  0.777  0.067  0.454
O  0.777  0.433  0.954
O  0.792  0.543  0.415
O  0.792  0.957  0.915
O  0.983  0.228  0.379
O  0.983  0.272  0.879


DFT (PBE with a Hubbard U) results for a relaxed structure of VO2F.

Output
Final energy (eV per cell): -162.04
Total moment (μB/f.u.): 0.000
E_form (eV per atom): -2.41

Cell: 11.099 11.099 5.480 Å, 102.29 102.29 27.98°
Element x y z (fractional)
V  0.081  0.081  0.129
V  0.273  0.231  0.278
V  0.424  0.404  0.378
V  0.596  0.576  0.622
V  0.769  0.727  0.722
V  0.919  0.919  0.871
O  0.106  0.759  0.643
O  0.195  0.142  0.169
O  0.223  0.441  0.337
O  0.241  0.894  0.357
O  0.527  0.003  0.477
O  0.528  0.472  0.500
O  0.559  0.777  0.663
O  0.657  0.147  0.197
O  0.853  0.343  0.803
O  0.858  0.805  0.831
O  0.898  0.102  0.000
O  0.997  0.473  0.523
F  0.196  0.661  0.124
F  0.339  0.804  0.876
F  0.437  0.095  0.989
F  0.583  0.219  0.686
F  0.781  0.417  0.314
F  0.905  0.563  0.011


DFT (PBE with a Hubbard U) results for a relaxed structure of Sr2MgNiRuO6.

Output
Final energy (eV per cell): -64.45
Total moment (μB/f.u.): 4.004
E_form (eV per atom): -1.95

Cell: 6.224 6.224 6.224 Å, 126.50 125.60 79.81°
Element x y z (fractional)
Sr  0.177  0.177  0.000
Sr  0.823  0.823  0.000
Mg  0.500  0.500  0.000
Ni  0.500  0.000  0.500
Ru  0.000  0.500  0.500
O  0.210  0.710  0.500
O  0.257  0.246  0.503
O  0.257  0.754  0.010
O  0.743  0.246  0.990
O  0.743  0.754  0.497
O  0.790  0.290  0.500


DFT (PBE with a Hubbard U) results for a relaxed structure of LiFeBO4.

Output
Final energy (eV per cell): -185.19
Total moment (μB/f.u.): 4.000
E_form (eV per atom): -2.06

Cell: 10.054 5.880 4.318 Å, 90.00 90.00 90.00°
Element x y z (fractional)
Li  0.224  0.250  0.023
Li  0.276  0.750  0.523
Li  0.724  0.250  0.477
Li  0.776  0.750  0.977
Fe  0.000  0.000  0.500
Fe  0.000  0.500  0.500
Fe  0.500  0.000  0.000
Fe  0.500  0.500  0.000
B  0.082  0.750  0.091
B  0.418  0.250  0.591
B  0.582  0.750  0.409
B  0.918  0.250  0.909
O  0.058  0.250  0.752
O  0.077  0.750  0.752
O  0.141  0.542  0.221
O  0.141  0.958  0.221
O  0.359  0.042  0.721
O  0.359  0.458  0.721
O  0.423  0.250  0.252
O  0.442  0.750  0.252
O  0.558  0.250  0.748
O  0.577  0.750  0.748
O  0.641  0.542  0.279
O  0.641  0.958  0.279
O  0.859  0.042  0.779
O  0.859  0.458  0.779
O  0.923  0.250  0.248
O  0.942  0.750  0.248


DFT (PBE with a Hubbard U) results for a relaxed structure of MgCr2Sb2O8.

Output
Final energy (eV per cell): -85.98
Total moment (μB/f.u.): 6.000
E_form (eV per atom): -2.06

Cell: 5.759 5.759 6.847 Å, 124.42 124.42 69.59°
Element x y z (fractional)
Mg  0.000  0.000  0.000
Cr  0.057  0.517  0.515
Cr  0.517  0.057  0.515
Sb  0.295  0.295  0.981
Sb  0.734  0.734  0.075
O  0.055  0.559  0.828
O  0.059  0.438  0.177
O  0.107  0.107  0.370
O  0.438  0.059  0.177
O  0.469  0.469  0.697
O  0.559  0.055  0.828
O  0.601  0.601  0.278
O  0.984  0.984  0.688


DFT (PBE with a Hubbard U) results for a relaxed structure of MgMn2O4.

Output
Final energy (eV per cell): -390.76
Total moment (μB/f.u.): 8.000
E_form (eV per atom): -2.17

Cell: 11.271 5.692 15.809 Å, 90.00 132.67 90.00°
Element x y z (fractional)
Mg  0.112  0.114  0.174
Mg  0.112  0.886  0.674
Mg  0.245  0.389  0.425
Mg  0.245  0.611  0.925
Mg  0.755  0.389  0.075
Mg  0.755  0.611  0.575
Mg  0.888  0.114  0.326
Mg  0.888  0.886  0.826
Mn  0.193  0.381  0.568
Mn  0.193  0.619  0.068
Mn  0.230  0.123  0.063
Mn  0.230  0.877  0.563
Mn  0.414  0.127  0.859
Mn  0.414  0.873  0.359
Mn  0.417  0.379  0.350
Mn  0.417  0.621  0.850
Mn  0.583  0.379  0.150
Mn  0.583  0.621  0.650
Mn  0.586  0.127  0.641
Mn  0.586  0.873  0.141
Mn  0.770  0.123  0.437
Mn  0.770  0.877  0.937
Mn  0.807  0.381  0.932
Mn  0.807  0.619  0.432
O  0.122  0.149  0.448
O  0.122  0.851  0.948
O  0.137  0.385  0.959
O  0.137  0.615  0.459
O  0.232  0.113  0.659
O  0.232  0.887  0.159
O  0.234  0.354  0.160
O  0.234  0.646  0.660
O  0.280  0.142  0.344
O  0.280  0.858  0.844
O  0.307  0.386  0.862
O  0.307  0.614  0.362
O  0.432  0.368  0.600
O  0.432  0.632  0.100
O  0.453  0.118  0.118
O  0.453  0.882  0.618
O  0.547  0.118  0.382
O  0.547  0.882  0.882
O  0.568  0.368  0.900
O  0.568  0.632  0.400
O  0.693  0.386  0.638
O  0.693  0.614  0.138
O  0.720  0.142  0.156
O  0.720  0.858  0.656
O  0.766  0.354  0.340
O  0.766  0.646  0.840
O  0.768  0.113  0.841
O  0.768  0.887  0.341
O  0.863  0.385  0.541
O  0.863  0.615  0.041
O  0.878  0.149  0.052
O  0.878  0.851  0.552


DFT (PBE with a Hubbard U) results for a relaxed structure of Mn3OF5.

Output
Final energy (eV per cell): -116.83
Total moment (μB/f.u.): 14.004
E_form (eV per atom): -2.71

Cell: 5.902 4.855 8.114 Å, 90.00 92.14 90.00°
Element x y z (fractional)
Mn  0.068  0.000  0.328
Mn  0.253  0.499  0.987
Mn  0.408  0.958  0.669
Mn  0.592  0.458  0.331
Mn  0.747  0.999  0.013
Mn  0.932  0.500  0.672
O  0.224  0.675  0.779
O  0.776  0.175  0.221
F  0.050  0.780  0.096
F  0.123  0.171  0.565
F  0.283  0.301  0.214
F  0.380  0.775  0.429
F  0.449  0.189  0.900
F  0.551  0.689  0.100
F  0.620  0.275  0.571
F  0.717  0.801  0.786
F  0.877  0.671  0.435
F  0.950  0.280  0.904


The highest final energy belongs to which entry? VF5


What did the third record say?
DFT (PBE with a Hubbard U) results for a relaxed structure of FeH14C4NOF4.

Output
Final energy (eV per cell): -260.03
Total moment (μB/f.u.): 4.999
E_form (eV per atom): -0.84

Cell: 7.031 8.335 9.211 Å, 65.45 83.01 72.48°
Element x y z (fractional)
Fe  0.177  0.006  0.375
Fe  0.823  0.994  0.625
H  0.064  0.471  0.227
H  0.064  0.677  0.052
H  0.112  0.664  0.244
H  0.143  0.061  0.802
H  0.168  0.331  0.564
H  0.204  0.527  0.583
H  0.212  0.041  0.992
H  0.234  0.812  0.673
H  0.268  0.293  0.021
H  0.269  0.501  0.849
H  0.396  0.043  0.837
H  0.408  0.323  0.620
H  0.454  0.838  0.620
H  0.466  0.293  0.877
H  0.534  0.707  0.123
H  0.546  0.162  0.380
H  0.592  0.677  0.380
H  0.604  0.957  0.163
H  0.731  0.499  0.151
H  0.732  0.707  0.979
H  0.766  0.188  0.327
H  0.788  0.959  0.008
H  0.796  0.473  0.417
H  0.832  0.669  0.436
H  0.857  0.939  0.198
H  0.888  0.336  0.756
H  0.936  0.323  0.948
H  0.936  0.529  0.773
C  0.029  0.621  0.180
C  0.239  0.096  0.863
C  0.246  0.377  0.628
C  0.307  0.351  0.895
C  0.693  0.649  0.105
C  0.754  0.623  0.372
C  0.761  0.904  0.137
C  0.971  0.379  0.820
N  0.190  0.301  0.801
N  0.810  0.699  0.199
O  0.335  0.819  0.586
O  0.665  0.181  0.414
F  0.025  0.138  0.519
F  0.027  0.819  0.784
F  0.293  0.861  0.259
F  0.359  0.153  0.310
F  0.641  0.847  0.690
F  0.707  0.139  0.741
F  0.973  0.181  0.216
F  0.975  0.862  0.481


Among the records above, which one has the lowest E_form? VF5


Number 4 is which compound? VF5